Model P:
Mg14TiNiO16 | PBE with a Hubbard U | optimized geometry

Cell: 8.5827 8.5827 4.2253 Å, 90.00 90.00 90.00°
Last column: nearest neighbours and their distance in Å.
Space group P4/mmm (No. 123)
Asymmetric unit:
Mg 0.0000 0.2452 0.0000 (multiplicity 4)  6 O 2.10-2.19
Mg 0.0000 0.5000 0.5000 (multiplicity 2)  6 O 2.00-2.22
Mg 0.2421 0.2421 0.5000 (multiplicity 4)  6 O 2.09-2.22
Mg 0.2444 0.5000 0.0000 (multiplicity 4)  6 O 2.10-2.19
Ti 0.5000 0.5000 0.5000 (multiplicity 1)  6 O 2.07-2.11
Ni 0.0000 0.0000 0.5000 (multiplicity 1)  6 O 2.11-2.29
O 0.0000 0.0000 0.0000 (multiplicity 1)  4 Mg 2.10, 2 Ni 2.11
O 0.0000 0.2672 0.5000 (multiplicity 4)  5 Mg 2.00-2.12
O 0.0000 0.5000 0.0000 (multiplicity 2)  6 Mg 2.10-2.19
O 0.2511 0.2511 0.0000 (multiplicity 4)  6 Mg 2.12-2.16
O 0.2587 0.5000 0.5000 (multiplicity 4)  1 Ti 2.07, 5 Mg 2.12-2.22
O 0.5000 0.5000 0.0000 (multiplicity 1)  2 Ti 2.11, 4 Mg 2.19

Results
Density = 3.750 g cm⁻³



Model Q:
Mg14TiNiO16 | PBE with a Hubbard U | optimized geometry

Cell: 4.2346 8.5059 8.6395 Å, 90.00 90.00 90.00°
Last column: nearest neighbours and their distance in Å.
Space group Pmmm (No. 47)
Asymmetric unit:
Mg 0.0000 0.0000 0.0000 (multiplicity 1)  6 O 2.04-2.19
Mg 0.0000 0.0000 0.5000 (multiplicity 1)  6 O 2.12-2.13
Mg 0.0000 0.2504 0.2433 (multiplicity 4)  6 O 2.10-2.22
Mg 0.5000 0.0000 0.2480 (multiplicity 2)  6 O 2.12-2.18
Mg 0.5000 0.2475 0.5000 (multiplicity 2)  6 O 2.11-2.15
Mg 0.5000 0.2533 0.0000 (multiplicity 2)  6 O 2.10-2.17
Mg 0.5000 0.5000 0.2406 (multiplicity 2)  6 O 2.08-2.24
Ti 0.0000 0.5000 0.5000 (multiplicity 1)  6 O 1.98-2.12
Ni 0.0000 0.5000 0.0000 (multiplicity 1)  6 O 2.12-2.34
O 0.0000 0.0000 0.2532 (multiplicity 2)  6 Mg 2.12-2.19
O 0.0000 0.2400 0.0000 (multiplicity 2)  5 Mg 2.04-2.12, 1 Ni 2.21
O 0.0000 0.2509 0.5000 (multiplicity 2)  5 Mg 2.12-2.22, 1 Ti 2.12
O 0.0000 0.5000 0.2713 (multiplicity 2)  1 Ti 1.98, 4 Mg 2.13-2.14
O 0.5000 0.0000 0.0000 (multiplicity 1)  6 Mg 2.12-2.15
O 0.5000 0.0000 0.5000 (multiplicity 1)  6 Mg 2.11-2.18
O 0.5000 0.2515 0.2508 (multiplicity 4)  6 Mg 2.12-2.17
O 0.5000 0.5000 0.0000 (multiplicity 1)  4 Mg 2.08-2.10, 2 Ni 2.12
O 0.5000 0.5000 0.5000 (multiplicity 1)  2 Ti 2.12, 4 Mg 2.15-2.24

Results
Density = 3.750 g cm⁻³



Of them, model Q has the highest stability.



Model P:
MgZn2Ni4O8 | PBE with a Hubbard U | optimized geometry

Cell: 2.9182 5.1715 11.0185 Å, 81.09 87.74 74.19°
Last column: nearest neighbours and their distance in Å.
Space group P1 (No. 1)
Asymmetric unit:
Mg 0.0000 0.0000 0.0000 (multiplicity 1)  5 O 2.00-2.11
Zn 0.1329 0.7847 0.7900 (multiplicity 1)  5 O 2.01-2.17
Zn 0.2343 0.4693 0.3588 (multiplicity 1)  5 O 2.00-2.22
Ni 0.4711 0.9925 0.2288 (multiplicity 1)  6 O 2.02-2.18
Ni 0.6117 0.9029 0.5396 (multiplicity 1)  5 O 1.92-2.14
Ni 0.7375 0.4988 0.0945 (multiplicity 1)  6 O 2.00-2.13
Ni 0.8659 0.3375 0.6428 (multiplicity 1)  5 O 1.99-2.06
O 0.0302 0.1753 0.4893 (multiplicity 1)  3 Ni 1.92-2.10, 1 Zn 2.12
O 0.1091 0.7476 0.1597 (multiplicity 1)  1 Mg 2.00, 4 Ni 2.10-2.13
O 0.2136 0.6221 0.6340 (multiplicity 1)  4 Ni 1.99-2.21, 1 Zn 2.01
O 0.3723 0.2413 0.0482 (multiplicity 1)  2 Mg 2.00-2.02, 3 Ni 2.05-2.18
O 0.5045 0.0628 0.6980 (multiplicity 1)  3 Ni 2.00-2.06, 2 Zn 2.14-2.17
O 0.6164 0.7368 0.3896 (multiplicity 1)  2 Ni 1.98-2.02, 2 Zn 2.00-2.07
O 0.6267 0.7677 0.9251 (multiplicity 1)  2 Zn 2.06-2.09, 2 Mg 2.10-2.11, 1 Ni 2.13
O 0.8139 0.2690 0.2597 (multiplicity 1)  3 Ni 2.00-2.11, 2 Zn 2.09-2.22

Results
Density = 5.441 g cm⁻³



Model Q:
MgZn2Ni4O8 | PBE with a Hubbard U | optimized geometry

Cell: 5.8382 5.8486 6.2239 Å, 90.03 117.83 119.92°
Last column: nearest neighbours and their distance in Å.
Space group P1 (No. 1)
Asymmetric unit:
Mg 0.0000 0.0000 0.0000 (multiplicity 1)  6 O 2.08-2.10
Zn 0.6878 0.8407 0.5372 (multiplicity 1)  3 O 1.87-2.07
Zn 0.9977 0.4962 0.5013 (multiplicity 1)  6 O 2.17-2.20
Ni 0.0002 0.4993 0.0017 (multiplicity 1)  6 O 1.92-2.11
Ni 0.2985 0.1428 0.4597 (multiplicity 1)  4 O 1.91-2.06
Ni 0.5003 0.4990 0.0016 (multiplicity 1)  6 O 1.92-2.11
Ni 0.5009 0.0006 0.0018 (multiplicity 1)  6 O 1.94-2.09
O 0.0115 0.2559 0.7667 (multiplicity 1)  1 Mg 2.08, 2 Ni 2.09, 2 Zn 2.10-2.17
O 0.0121 0.7556 0.7648 (multiplicity 1)  2 Zn 2.07-2.18, 2 Ni 2.09-2.10, 1 Mg 2.09
O 0.4511 0.7243 0.1800 (multiplicity 1)  1 Zn 1.87, 3 Ni 1.93-1.94
O 0.4888 0.2421 0.2393 (multiplicity 1)  3 Ni 2.06-2.11, 1 Mg 2.09, 1 Zn 2.18
O 0.5077 0.7548 0.7651 (multiplicity 1)  2 Zn 2.06-2.19, 2 Ni 2.09-2.10, 1 Mg 2.10
O 0.5509 0.2768 0.8228 (multiplicity 1)  4 Ni 1.91-1.94
O 0.9875 0.7426 0.2338 (multiplicity 1)  3 Ni 2.03-2.08, 1 Mg 2.09, 1 Zn 2.20
O 0.9903 0.2416 0.2383 (multiplicity 1)  3 Ni 2.05-2.11, 1 Mg 2.09, 1 Zn 2.18

Results
Density = 5.543 g cm⁻³



Model R:
MgZn2Ni4O8 | PBE with a Hubbard U | optimized geometry

Cell: 8.1490 8.1820 6.6272 Å, 90.00 125.53 90.00°
Last column: nearest neighbours and their distance in Å.
Space group C2 (No. 5)
Asymmetric unit:
Mg 0.0000 0.0000 0.0000 (multiplicity 2)  4 O 1.97-1.99
Zn 0.0000 0.2658 0.5000 (multiplicity 2)  4 O 2.00-2.03
Zn 0.0000 0.4884 0.0000 (multiplicity 2)  4 O 2.09-2.22
Ni 0.0636 0.8811 0.3645 (multiplicity 4)  5 O 2.00-2.08
Ni 0.2020 0.6379 0.6775 (multiplicity 4)  5 O 1.90-2.10
O 0.0137 0.6382 0.2889 (multiplicity 4)  3 Ni 1.90-2.10
O 0.0455 0.1258 0.2846 (multiplicity 4)  2 Ni 1.93-2.05, 1 Mg 1.99, 1 Zn 2.03
O 0.2301 0.8703 0.7355 (multiplicity 4)  3 Ni 1.93-2.08, 1 Zn 2.09
O 0.2397 0.4064 0.7291 (multiplicity 4)  2 Ni 1.92-2.04, 1 Mg 1.97, 1 Zn 2.00

Results
Density = 4.783 g cm⁻³



Model S:
MgZn2Ni4O8 | PBE with a Hubbard U | optimized geometry

Cell: 5.8372 6.0072 6.2258 Å, 61.49 62.40 89.95°
Last column: nearest neighbours and their distance in Å.
Space group P1 (No. 1)
Asymmetric unit:
Mg 0.0000 0.0000 0.0000 (multiplicity 1)  4 O 1.91-2.03
Zn 0.0613 0.5708 0.8851 (multiplicity 1)  4 O 1.99-2.07
Zn 0.7153 0.7288 0.5541 (multiplicity 1)  3 O 1.89-2.11
Ni 0.4131 0.1623 0.1809 (multiplicity 1)  6 O 2.04-2.22
Ni 0.4134 0.6753 0.1810 (multiplicity 1)  4 O 1.96-1.98
Ni 0.4723 0.2114 0.6005 (multiplicity 1)  5 O 1.93-2.03
Ni 0.9424 0.2211 0.5819 (multiplicity 1)  5 O 1.96-2.09
O 0.1541 0.8827 0.2342 (multiplicity 1)  1 Mg 1.91, 2 Ni 1.97-2.06
O 0.1702 0.3853 0.6758 (multiplicity 1)  1 Zn 1.99, 1 Mg 2.03, 2 Ni 2.03-2.09
O 0.1809 0.9680 0.6551 (multiplicity 1)  1 Zn 2.01, 1 Mg 2.01, 3 Ni 2.03-2.22
O 0.1981 0.4421 0.1612 (multiplicity 1)  3 Ni 1.97-2.09, 1 Zn 2.05
O 0.6162 0.8824 0.2356 (multiplicity 1)  1 Mg 1.91, 2 Ni 1.96-2.04, 1 Zn 2.11
O 0.6398 0.3595 0.7250 (multiplicity 1)  1 Zn 1.89, 2 Ni 1.93-1.96
O 0.6480 0.9418 0.7099 (multiplicity 1)  1 Zn 1.89, 2 Ni 1.93-1.97
O 0.6488 0.4382 0.1684 (multiplicity 1)  3 Ni 1.98-2.10, 1 Zn 2.07

Results
Density = 5.274 g cm⁻³



Of them, model P has the highest stability.



Model P:
MgZn2Ni4O8 | PBE with a Hubbard U | optimized geometry

Cell: 5.7600 5.7764 6.6171 Å, 114.08 114.26 90.30°
Last column: nearest neighbours and their distance in Å.
Space group P1 (No. 1)
Asymmetric unit:
Mg 0.0000 0.0000 0.0000 (multiplicity 1)  4 O 1.96-1.99
Zn 0.2676 0.7385 0.4976 (multiplicity 1)  4 O 1.99-2.03
Zn 0.4955 0.5202 0.0026 (multiplicity 1)  4 O 2.09-2.24
Ni 0.4390 0.1667 0.3188 (multiplicity 1)  5 O 1.90-2.09
Ni 0.8257 0.0712 0.6423 (multiplicity 1)  5 O 2.02-2.07
Ni 0.8427 0.5735 0.6731 (multiplicity 1)  5 O 1.89-2.08
Ni 0.9511 0.1922 0.3663 (multiplicity 1)  5 O 2.00-2.07
O 0.0855 0.8399 0.7166 (multiplicity 1)  2 Ni 1.92-2.05, 1 Mg 1.99, 1 Zn 2.03
O 0.1065 0.3729 0.7365 (multiplicity 1)  3 Ni 1.93-2.07, 1 Zn 2.09
O 0.1668 0.3583 0.2635 (multiplicity 1)  2 Ni 1.92-2.03, 1 Mg 1.98, 1 Zn 2.01
O 0.1765 0.9271 0.2861 (multiplicity 1)  2 Ni 1.93-2.06, 1 Mg 1.97, 1 Zn 2.02
O 0.6271 0.3581 0.7072 (multiplicity 1)  3 Ni 1.89-2.09
O 0.6479 0.8418 0.7269 (multiplicity 1)  2 Ni 1.92-2.04, 1 Mg 1.96, 1 Zn 1.99
O 0.6480 0.9111 0.2679 (multiplicity 1)  3 Ni 1.92-2.07, 1 Zn 2.10
O 0.6556 0.3843 0.2865 (multiplicity 1)  3 Ni 1.90-2.08

Results
Density = 4.797 g cm⁻³



Model Q:
MgZn2Ni4O8 | PBE with a Hubbard U | optimized geometry

Cell: 5.8334 5.8451 6.2328 Å, 90.09 117.80 119.92°
Last column: nearest neighbours and their distance in Å.
Space group P1 (No. 1)
Asymmetric unit:
Mg 0.0000 0.0000 0.0000 (multiplicity 1)  6 O 2.09-2.10
Zn 0.6885 0.8411 0.5378 (multiplicity 1)  4 O 1.87-2.09
Zn 0.9987 0.4970 0.5019 (multiplicity 1)  6 O 2.17-2.20
Ni 0.0007 0.4996 0.0019 (multiplicity 1)  6 O 1.92-2.11
Ni 0.3000 0.1456 0.4585 (multiplicity 1)  4 O 1.91-2.05
Ni 0.5004 0.4994 0.0020 (multiplicity 1)  6 O 1.93-2.11
Ni 0.5009 0.0000 0.0023 (multiplicity 1)  6 O 1.94-2.09
O 0.0113 0.2557 0.7667 (multiplicity 1)  2 Ni 2.09, 1 Mg 2.09, 2 Zn 2.09-2.17
O 0.0116 0.7552 0.7656 (multiplicity 1)  2 Zn 2.07-2.18, 2 Ni 2.09-2.10, 1 Mg 2.09
O 0.4523 0.7251 0.1810 (multiplicity 1)  1 Zn 1.87, 3 Ni 1.93-1.94
O 0.4898 0.2430 0.2397 (multiplicity 1)  3 Ni 2.05-2.11, 1 Mg 2.09, 1 Zn 2.18
O 0.5085 0.7547 0.7658 (multiplicity 1)  2 Zn 2.06-2.19, 2 Ni 2.09-2.10, 1 Mg 2.10
O 0.5496 0.2750 0.8225 (multiplicity 1)  4 Ni 1.91-1.94
O 0.9892 0.7437 0.2357 (multiplicity 1)  3 Ni 2.03-2.09, 1 Mg 2.10, 1 Zn 2.20
O 0.9911 0.2426 0.2390 (multiplicity 1)  3 Ni 2.04-2.11, 1 Mg 2.09, 1 Zn 2.18

Results
Density = 5.543 g cm⁻³



Of them, model Q has the highest stability.



Model P:
MgZn2Ni4O8 | PBE with a Hubbard U | optimized geometry

Cell: 10.0561 5.9235 6.2826 Å, 90.00 124.23 90.00°
Last column: nearest neighbours and their distance in Å.
Space group Cm (No. 8)
Asymmetric unit:
Mg 0.0000 0.0000 0.0000 (multiplicity 2)  6 O 2.05-2.14
Zn 0.0013 0.5000 0.9998 (multiplicity 2)  6 O 1.98-2.16
Zn 0.1437 0.0000 0.4652 (multiplicity 2)  4 O 1.88-2.07
Ni 0.2493 0.2500 0.9978 (multiplicity 4)  4 O 1.88-1.96
Ni 0.3560 0.5000 0.5396 (multiplicity 2)  4 O 1.91-2.03
Ni 0.4992 0.0000 0.4978 (multiplicity 2)  6 O 2.11-2.19
O 0.0138 0.2467 0.7641 (multiplicity 4)  3 Ni 1.96-2.19, 1 Mg 2.14, 1 Zn 2.16
O 0.2379 0.5000 0.1725 (multiplicity 2)  3 Ni 1.88-1.91, 1 Zn 1.98
O 0.2455 0.0000 0.2557 (multiplicity 2)  1 Mg 2.05, 1 Zn 2.07, 3 Ni 2.11-2.21
O 0.2549 0.5000 0.7429 (multiplicity 2)  4 Ni 2.03-2.21, 1 Mg 2.05
O 0.2645 0.0000 0.8263 (multiplicity 2)  2 Zn 1.88-1.98, 2 Ni 1.89
O 0.4842 0.2506 0.2311 (multiplicity 4)  2 Ni 1.96-2.18, 2 Zn 2.06-2.15, 1 Mg 2.14

Results
Density = 5.559 g cm⁻³



Model Q:
MgZn2Ni4O8 | PBE with a Hubbard U | optimized geometry

Cell: 10.1805 5.8144 6.1579 Å, 90.00 122.30 90.00°
Last column: nearest neighbours and their distance in Å.
Space group C2/m (No. 12)
Asymmetric unit:
Mg 0.0000 0.0000 0.0000 (multiplicity 2)  6 O 2.10-2.13
Zn 0.1536 0.0000 0.4644 (multiplicity 4)  4 O 1.87-2.08
Ni 0.0000 0.5000 0.0000 (multiplicity 2)  6 O 1.92-2.08
Ni 0.0000 0.5000 0.5000 (multiplicity 2)  6 O 2.14-2.19
Ni 0.2500 0.2500 0.0000 (multiplicity 4)  6 O 1.92-2.12
O 0.0039 0.2520 0.7595 (multiplicity 8)  1 Zn 2.06, 3 Ni 2.08-2.14, 1 Mg 2.10
O 0.2227 0.5000 0.1770 (multiplicity 4)  1 Zn 1.87, 3 Ni 1.92
O 0.2470 0.0000 0.2347 (multiplicity 4)  3 Ni 2.06-2.19, 1 Zn 2.08, 1 Mg 2.13

Results
Density = 5.583 g cm⁻³



Of them, model Q has the highest stability.